Compound: Na10Mg6Ti2Si3S9O48
Source: the Materials Project database
Functional: GGA-PBE
Structure: optimized geometry

a b c (Å): 8.895 15.345 22.291
angles (deg): 89.98 89.87 89.91
Atoms (fractional coordinates):
Na1 0.000 0.000 0.000
Na2 0.002 0.297 0.331
Na3 0.013 0.667 0.330
Na4 0.014 0.975 0.663
Na5 0.137 0.124 0.507
Na6 0.142 0.167 0.829
Na7 0.152 0.795 0.833
Na8 0.155 0.501 0.500
Na9 0.183 0.813 0.497
Na10 0.323 0.987 0.588
Na11 0.326 0.317 0.749
Na12 0.326 0.648 0.420
Na13 0.329 0.643 0.917
Na14 0.331 0.976 0.087
Na15 0.339 0.315 0.249
Na16 0.468 0.474 0.333
Na17 0.512 0.129 0.001
Na18 0.515 0.166 0.333
Na19 0.640 0.665 0.834
Na20 0.644 0.629 0.502
Na21 0.658 0.997 0.497
Na22 0.687 0.973 0.834
Na23 0.696 0.643 0.166
Na24 0.809 0.809 0.749
Na25 0.823 0.478 0.587
Na26 0.827 0.143 0.416
Na27 0.827 0.148 0.919
Na28 0.835 0.822 0.250
Na29 0.838 0.488 0.087
Na30 0.966 0.310 0.997
Mg1 0.317 0.654 0.261
Mg2 0.319 0.978 0.433
Mg3 0.320 0.645 0.068
Mg4 0.326 0.318 0.898
Mg5 0.326 0.643 0.566
Mg6 0.326 0.978 0.232
Mg7 0.330 0.644 0.768
Mg8 0.337 0.315 0.400
Mg9 0.337 0.983 0.729
Mg10 0.817 0.813 0.901
Mg11 0.824 0.484 0.933
Mg12 0.827 0.144 0.268
Mg13 0.827 0.478 0.732
Mg14 0.829 0.143 0.066
Mg15 0.829 0.478 0.229
Mg16 0.833 0.818 0.399
Mg17 0.834 0.156 0.761
Mg18 0.835 0.146 0.569
Ti1 0.322 0.308 0.100
Ti2 0.337 0.315 0.607
Ti3 0.342 0.971 0.940
Ti4 0.813 0.472 0.439
Ti5 0.825 0.814 0.104
Ti6 0.840 0.809 0.597
Si1 0.033 0.644 0.167
Si2 0.128 0.146 0.666
Si3 0.178 0.166 0.995
Si4 0.469 0.458 0.499
Si5 0.476 0.831 0.829
Si6 0.679 0.332 0.330
Si7 0.687 0.958 0.998
Si8 0.973 0.964 0.498
Si9 0.978 0.665 0.494
S1 0.036 0.979 0.833
S2 0.038 0.313 0.498
S3 0.118 0.810 0.998
S4 0.119 0.480 0.334
S5 0.178 0.500 0.666
S6 0.179 0.791 0.666
S7 0.180 0.125 0.333
S8 0.183 0.833 0.333
S9 0.185 0.460 0.999
S10 0.471 0.498 0.166
S11 0.473 0.795 0.165
S12 0.475 0.127 0.834
S13 0.475 0.168 0.500
S14 0.531 0.148 0.166
S15 0.536 0.478 0.833
S16 0.540 0.814 0.500
S17 0.616 0.317 0.000
S18 0.618 0.978 0.333
S19 0.624 0.648 0.666
S20 0.679 0.628 0.333
S21 0.679 0.665 0.001
S22 0.680 0.998 0.666
S23 0.683 0.295 0.666
S24 0.972 0.335 0.834
S25 0.975 0.624 0.833
S26 0.977 0.000 0.166
S27 0.977 0.293 0.165
O1 0.000 0.159 0.007
O2 0.007 0.801 0.661
O3 0.014 0.488 0.673
O4 0.015 0.135 0.326
O5 0.016 0.822 0.335
O6 0.017 0.463 0.997
O7 0.018 0.826 0.051
O8 0.023 0.469 0.281
O9 0.026 0.131 0.607
O10 0.026 0.495 0.389
O11 0.031 0.799 0.942
O12 0.035 0.166 0.728
O13 0.115 0.667 0.230
O14 0.126 0.298 0.443
O15 0.129 0.969 0.779
O16 0.130 0.995 0.888
O17 0.137 0.328 0.551
O18 0.137 0.633 0.109
O19 0.140 0.323 0.837
O20 0.140 0.635 0.826
O21 0.141 0.989 0.173
O22 0.148 0.302 0.157
O23 0.156 0.658 0.507
O24 0.157 0.968 0.498
O25 0.205 0.550 0.611
O26 0.205 0.739 0.721
O27 0.207 0.896 0.994
O28 0.209 0.076 0.389
O29 0.209 0.228 0.939
O30 0.210 0.398 0.338
O31 0.216 0.401 0.053
O32 0.218 0.887 0.280
O33 0.222 0.556 0.329
O34 0.222 0.737 0.005
O35 0.230 0.059 0.672
O36 0.236 0.236 0.653
O37 0.239 0.881 0.671
O38 0.240 0.751 0.612
O39 0.241 0.872 0.389
O40 0.246 0.215 0.338
O41 0.248 0.541 0.719
O42 0.249 0.419 0.946
O43 0.251 0.410 0.660
O44 0.252 0.546 0.007
O45 0.254 0.084 0.281
O46 0.254 0.744 0.330
O47 0.258 0.069 0.994
O48 0.265 0.219 0.054
O49 0.389 0.423 0.439
O50 0.392 0.736 0.830
O51 0.396 0.885 0.890
O52 0.399 0.409 0.158
O53 0.400 0.211 0.552
O54 0.403 0.088 0.782
O55 0.407 0.079 0.495
O56 0.407 0.536 0.222
O57 0.408 0.215 0.841
O58 0.409 0.883 0.172
O59 0.412 0.558 0.508
O60 0.412 0.754 0.111
O61 0.431 0.071 0.172
O62 0.434 0.394 0.556
O63 0.435 0.230 0.160
O64 0.439 0.400 0.839
O65 0.439 0.738 0.509
O66 0.440 0.558 0.827
O67 0.445 0.217 0.444
O68 0.445 0.555 0.114
O69 0.446 0.895 0.494
O70 0.446 0.899 0.777
O71 0.447 0.072 0.890
O72 0.455 0.739 0.219
O73 0.498 0.318 0.337
O74 0.498 0.967 0.993
O75 0.512 0.303 0.660
O76 0.512 0.632 0.328
O77 0.515 0.657 0.008
O78 0.517 0.987 0.670
O79 0.518 0.329 0.055
O80 0.519 0.969 0.280
O81 0.523 0.302 0.947
O82 0.527 0.993 0.389
O83 0.531 0.638 0.612
O84 0.531 0.660 0.721
O85 0.622 0.161 0.220
O86 0.623 0.138 0.111
O87 0.630 0.466 0.779
O88 0.630 0.494 0.886
O89 0.630 0.796 0.446
O90 0.636 0.488 0.170
O91 0.638 0.829 0.554
O92 0.639 0.159 0.508
O93 0.642 0.131 0.828
O94 0.644 0.802 0.160
O95 0.657 0.466 0.493
O96 0.657 0.818 0.837
O97 0.702 0.242 0.720
O98 0.709 0.572 0.388
O99 0.709 0.717 0.946
O100 0.710 0.399 0.277
O101 0.711 0.050 0.611
O102 0.712 0.238 0.008
O103 0.713 0.899 0.337
O104 0.714 0.058 0.326
O105 0.717 0.394 0.995
O106 0.719 0.729 0.661
O107 0.722 0.895 0.056
O108 0.723 0.570 0.672
O109 0.743 0.058 0.008
O110 0.743 0.253 0.611
O111 0.746 0.715 0.340
O112 0.747 0.709 0.055
O113 0.748 0.039 0.720
O114 0.748 0.383 0.671
O115 0.748 0.588 0.279
O116 0.752 0.578 0.996
O117 0.757 0.910 0.660
O118 0.760 0.385 0.390
O119 0.763 0.236 0.330
O120 0.766 0.923 0.939
O121 0.885 0.918 0.445
O122 0.889 0.714 0.554
O123 0.897 0.060 0.505
O124 0.898 0.567 0.492
O125 0.902 0.585 0.780
O126 0.903 0.245 0.831
O127 0.906 0.041 0.219
O128 0.906 0.911 0.160
O129 0.908 0.566 0.171
O130 0.908 0.714 0.839
O131 0.914 0.251 0.111
O132 0.914 0.375 0.891
O133 0.914 0.380 0.170
O134 0.918 0.735 0.153
O135 0.932 0.057 0.829
O136 0.935 0.239 0.506
O137 0.937 0.896 0.559
O138 0.938 0.387 0.781
O139 0.945 0.898 0.839
O140 0.946 0.573 0.887
O141 0.948 0.723 0.436
O142 0.949 0.397 0.493
O143 0.950 0.051 0.111
O144 0.956 0.239 0.220

- E_tot (eV per atom) = -6.276
- total magnetization (μB/atom) = 0.00
- space group = P1, No. 1